{
  "formula": "Li9V14O35",
  "functional": "PBE with a Hubbard U",
  "state": "relaxed",
  "lattice_angstrom": [[15.007, 0.000, 0.000], [0.000, 4.827, 0.000], [-6.457, 0.000, 19.722]],
  "species": ["Li", "Li", "Li", "Li", "Li", "Li", "Li", "Li", "Li", "Li", "Li", "Li", "Li", "Li", "Li", "Li", "Li", "Li", "V", "V", "V", "V", "V", "V", "V", "V", "V", "V", "V", "V", "V", "V", "V", "V", "V", "V", "V", "V", "V", "V", "V", "V", "V", "V", "V", "V", "O", "O", "O", "O", "O", "O", "O", "O", "O", "O", "O", "O", "O", "O", "O", "O", "O", "O", "O", "O", "O", "O", "O", "O", "O", "O", "O", "O", "O", "O", "O", "O", "O", "O", "O", "O", "O", "O", "O", "O", "O", "O", "O", "O", "O", "O", "O", "O", "O", "O", "O", "O", "O", "O", "O", "O", "O", "O", "O", "O", "O", "O", "O", "O", "O", "O", "O", "O", "O", "O"],
  "fractional_positions": [[0.000, 0.110, 0.250], [0.000, 0.890, 0.750], [0.137, 0.151, 0.425], [0.137, 0.849, 0.925], [0.222, 0.134, 0.199], [0.222, 0.866, 0.699], [0.351, 0.138, 0.387], [0.351, 0.862, 0.887], [0.427, 0.144, 0.146], [0.427, 0.856, 0.646], [0.573, 0.144, 0.354], [0.573, 0.856, 0.854], [0.649, 0.138, 0.113], [0.649, 0.862, 0.613], [0.778, 0.134, 0.301], [0.778, 0.866, 0.801], [0.863, 0.151, 0.075], [0.863, 0.849, 0.575], [0.066, 0.422, 0.653], [0.066, 0.578, 0.153], [0.092, 0.375, 0.019], [0.092, 0.625, 0.519], [0.145, 0.431, 0.817], [0.145, 0.569, 0.317], [0.278, 0.396, 0.608], [0.278, 0.604, 0.108], [0.301, 0.393, 0.975], [0.301, 0.607, 0.475], [0.401, 0.340, 0.769], [0.401, 0.660, 0.269], [0.489, 0.395, 0.567], [0.489, 0.605, 0.067], [0.511, 0.395, 0.933], [0.511, 0.605, 0.433], [0.599, 0.340, 0.731], [0.599, 0.660, 0.231], [0.699, 0.393, 0.525], [0.699, 0.607, 0.025], [0.722, 0.396, 0.892], [0.722, 0.604, 0.392], [0.855, 0.431, 0.683], [0.855, 0.569, 0.183], [0.908, 0.375, 0.481], [0.908, 0.625, 0.981], [0.934, 0.422, 0.847], [0.934, 0.578, 0.347], [0.009, 0.456, 0.441], [0.009, 0.544, 0.941], [0.040, 0.425, 0.324], [0.040, 0.575, 0.824], [0.071, 0.079, 0.660], [0.071, 0.921, 0.160], [0.101, 0.045, 0.002], [0.101, 0.955, 0.502], [0.131, 0.087, 0.820], [0.131, 0.913, 0.320], [0.154, 0.450, 0.238], [0.154, 0.550, 0.738], [0.163, 0.442, 0.115], [0.163, 0.558, 0.615], [0.203, 0.456, 0.509], [0.203, 0.544, 0.009], [0.239, 0.441, 0.385], [0.239, 0.559, 0.885], [0.292, 0.055, 0.957], [0.292, 0.945, 0.457], [0.294, 0.059, 0.627], [0.294, 0.941, 0.127], [0.326, 0.104, 0.782], [0.326, 0.896, 0.282], [0.348, 0.443, 0.199], [0.348, 0.557, 0.699], [0.373, 0.444, 0.074], [0.373, 0.556, 0.574], [0.417, 0.441, 0.468], [0.417, 0.559, 0.968], [0.447, 0.445, 0.340], [0.447, 0.555, 0.840], [0.498, 0.059, 0.913], [0.498, 0.941, 0.413], [0.500, 0.162, 0.750], [0.500, 0.838, 0.250], [0.502, 0.059, 0.587], [0.502, 0.941, 0.087], [0.553, 0.445, 0.160], [0.553, 0.555, 0.660], [0.583, 0.441, 0.032], [0.583, 0.559, 0.532], [0.627, 0.444, 0.426], [0.627, 0.556, 0.926], [0.652, 0.443, 0.301], [0.652, 0.557, 0.801], [0.674, 0.104, 0.718], [0.674, 0.896, 0.218], [0.706, 0.059, 0.873], [0.706, 0.941, 0.373], [0.708, 0.055, 0.543], [0.708, 0.945, 0.043], [0.761, 0.441, 0.115], [0.761, 0.559, 0.615], [0.797, 0.456, 0.991], [0.797, 0.544, 0.491], [0.837, 0.442, 0.385], [0.837, 0.558, 0.885], [0.846, 0.450, 0.262], [0.846, 0.550, 0.762], [0.869, 0.087, 0.680], [0.869, 0.913, 0.180], [0.899, 0.045, 0.498], [0.899, 0.955, 0.998], [0.929, 0.079, 0.840], [0.929, 0.921, 0.340], [0.960, 0.425, 0.176], [0.960, 0.575, 0.676], [0.991, 0.456, 0.059], [0.991, 0.544, 0.559]],
  "space_group": "No. 13",
  "density_g_cm3": 3.1
}


{
  "formula": "LiFeCO4",
  "functional": "PBE with a Hubbard U",
  "state": "relaxed",
  "lattice_angstrom": [[6.612, 0.000, 0.000], [0.000, 5.448, 0.000], [-1.483, 0.000, 10.432]],
  "species": ["Li", "Li", "Li", "Li", "Fe", "Fe", "Fe", "Fe", "C", "C", "C", "C", "O", "O", "O", "O", "O", "O", "O", "O", "O", "O", "O", "O", "O", "O", "O", "O"],
  "fractional_positions": [[0.116, 0.150, 0.293], [0.116, 0.350, 0.793], [0.884, 0.650, 0.207], [0.884, 0.850, 0.707], [0.487, 0.640, 0.654], [0.487, 0.860, 0.154], [0.513, 0.140, 0.846], [0.513, 0.360, 0.346], [0.203, 0.690, 0.425], [0.203, 0.810, 0.925], [0.797, 0.190, 0.075], [0.797, 0.310, 0.575], [0.080, 0.703, 0.841], [0.080, 0.797, 0.341], [0.258, 0.043, 0.911], [0.258, 0.457, 0.411], [0.282, 0.698, 0.030], [0.282, 0.802, 0.530], [0.386, 0.125, 0.234], [0.386, 0.375, 0.734], [0.614, 0.625, 0.266], [0.614, 0.875, 0.766], [0.718, 0.198, 0.470], [0.718, 0.302, 0.970], [0.742, 0.543, 0.589], [0.742, 0.957, 0.089], [0.920, 0.203, 0.659], [0.920, 0.297, 0.159]],
  "space_group": "No. 14",
  "e_above_lowest_polymorph_ev_per_fu": 0.38,
  "density_g_cm3": 2.5
}


{
  "formula": "Pr2CoO4",
  "functional": "PBE with a Hubbard U",
  "state": "relaxed",
  "lattice_angstrom": [[-1.939, 1.939, 6.325], [1.939, -1.939, 6.325], [1.939, 1.939, -6.325]],
  "species": ["Pr", "Pr", "Co", "O", "O", "O", "O"],
  "fractional_positions": [[0.137, 0.137, 0.000], [0.863, 0.863, 0.000], [0.500, 0.500, 0.000], [0.000, 0.500, 0.500], [0.319, 0.319, 0.000], [0.500, 0.000, 0.500], [0.681, 0.681, 0.000]],
  "space_group": "No. 139",
  "density_g_cm3": 7.1
}


{
  "formula": "Li9Mn2Co5O16",
  "functional": "PBE with a Hubbard U",
  "state": "relaxed",
  "lattice_angstrom": [[2.962, 0.000, 0.000], [1.459, 6.358, 0.000], [0.636, 0.375, 15.455]],
  "species": ["Li", "Li", "Li", "Li", "Li", "Li", "Li", "Li", "Li", "Mn", "Mn", "Co", "Co", "Co", "Co", "Co", "O", "O", "O", "O", "O", "O", "O", "O", "O", "O", "O", "O", "O", "O", "O", "O"],
  "fractional_positions": [[0.000, 0.000, 0.000], [0.031, 0.889, 0.177], [0.102, 0.762, 0.368], [0.235, 0.503, 0.742], [0.369, 0.239, 0.119], [0.485, 0.004, 0.492], [0.602, 0.758, 0.864], [0.742, 0.505, 0.245], [0.858, 0.254, 0.617], [0.304, 0.377, 0.931], [0.676, 0.638, 0.060], [0.176, 0.621, 0.555], [0.425, 0.121, 0.301], [0.544, 0.872, 0.679], [0.802, 0.378, 0.429], [0.926, 0.130, 0.803], [0.006, 0.924, 0.590], [0.081, 0.824, 0.768], [0.172, 0.675, 0.972], [0.191, 0.575, 0.139], [0.286, 0.417, 0.337], [0.325, 0.328, 0.521], [0.381, 0.182, 0.717], [0.467, 0.076, 0.892], [0.525, 0.920, 0.083], [0.562, 0.850, 0.281], [0.660, 0.672, 0.463], [0.689, 0.571, 0.644], [0.738, 0.438, 0.842], [0.858, 0.191, 0.220], [0.863, 0.331, 0.022], [0.980, 0.086, 0.396]],
  "space_group": "No. 1",
  "e_above_lowest_polymorph_ev_per_fu": 1.71,
  "density_g_cm3": 4.1
}


{
  "formula": "Na5Mg4Fe8P12O48",
  "functional": "PBE with a Hubbard U",
  "state": "relaxed",
  "lattice_angstrom": [[6.811, -6.316, 0.000], [6.811, 6.316, 0.000], [-5.867, 0.000, 10.329]],
  "species": ["Na", "Na", "Na", "Na", "Na", "Mg", "Mg", "Mg", "Mg", "Fe", "Fe", "Fe", "Fe", "Fe", "Fe", "Fe", "Fe", "P", "P", "P", "P", "P", "P", "P", "P", "P", "P", "P", "P", "O", "O", "O", "O", "O", "O", "O", "O", "O", "O", "O", "O", "O", "O", "O", "O", "O", "O", "O", "O", "O", "O", "O", "O", "O", "O", "O", "O", "O", "O", "O", "O", "O", "O", "O", "O", "O", "O", "O", "O", "O", "O", "O", "O", "O", "O", "O", "O"],
  "fractional_positions": [[0.000, 0.000, 0.000], [0.118, 0.131, 0.623], [0.368, 0.382, 0.873], [0.618, 0.632, 0.127], [0.869, 0.882, 0.377], [0.004, 0.493, 0.748], [0.232, 0.768, 0.500], [0.507, 0.996, 0.252], [0.727, 0.273, 0.000], [0.277, 0.596, 0.223], [0.340, 0.040, 0.971], [0.404, 0.723, 0.777], [0.461, 0.169, 0.528], [0.775, 0.094, 0.720], [0.831, 0.539, 0.472], [0.906, 0.225, 0.280], [0.960, 0.660, 0.029], [0.043, 0.832, 0.699], [0.069, 0.302, 0.948], [0.168, 0.957, 0.301], [0.196, 0.430, 0.555], [0.281, 0.719, 0.000], [0.455, 0.046, 0.749], [0.540, 0.334, 0.196], [0.570, 0.804, 0.445], [0.666, 0.460, 0.804], [0.698, 0.931, 0.052], [0.783, 0.217, 0.500], [0.954, 0.545, 0.251], [0.034, 0.407, 0.444], [0.058, 0.064, 0.241], [0.062, 0.861, 0.586], [0.095, 0.324, 0.835], [0.099, 0.466, 0.060], [0.102, 0.682, 0.933], [0.132, 0.586, 0.318], [0.139, 0.938, 0.414], [0.142, 0.791, 0.190], [0.175, 0.405, 0.669], [0.178, 0.184, 0.997], [0.209, 0.858, 0.810], [0.260, 0.602, 0.596], [0.309, 0.319, 0.504], [0.318, 0.898, 0.067], [0.339, 0.019, 0.344], [0.354, 0.640, 0.101], [0.360, 0.646, 0.899], [0.375, 0.119, 0.850], [0.381, 0.124, 0.649], [0.398, 0.740, 0.404], [0.414, 0.868, 0.682], [0.422, 0.440, 0.244], [0.481, 0.161, 0.155], [0.534, 0.901, 0.940], [0.560, 0.578, 0.756], [0.561, 0.360, 0.083], [0.593, 0.966, 0.556], [0.595, 0.825, 0.331], [0.605, 0.177, 0.432], [0.632, 0.086, 0.819], [0.637, 0.299, 0.690], [0.640, 0.439, 0.917], [0.676, 0.905, 0.165], [0.681, 0.691, 0.496], [0.701, 0.363, 0.310], [0.761, 0.098, 0.087], [0.816, 0.822, 0.003], [0.823, 0.395, 0.568], [0.839, 0.519, 0.845], [0.856, 0.139, 0.601], [0.861, 0.144, 0.399], [0.876, 0.619, 0.351], [0.881, 0.625, 0.150], [0.902, 0.239, 0.913], [0.914, 0.368, 0.181], [0.936, 0.942, 0.759], [0.981, 0.661, 0.656]],
  "space_group": "No. 5",
  "density_g_cm3": 3.4
}


{
  "formula": "Ca3CoRhO6",
  "functional": "PBE with a Hubbard U",
  "state": "relaxed",
  "lattice_angstrom": [[6.411, 0.000, 0.000], [-0.223, 6.476, 0.000], [-0.214, -0.166, 6.501]],
  "species": ["Ca", "Ca", "Ca", "Ca", "Ca", "Ca", "Co", "Co", "Rh", "Rh", "O", "O", "O", "O", "O", "O", "O", "O", "O", "O", "O", "O"],
  "fractional_positions": [[0.116, 0.248, 0.387], [0.249, 0.114, 0.887], [0.383, 0.615, 0.751], [0.617, 0.385, 0.249], [0.751, 0.886, 0.113], [0.884, 0.752, 0.613], [0.253, 0.742, 0.254], [0.747, 0.258, 0.746], [0.000, 0.500, 0.000], [0.500, 0.000, 0.500], [0.037, 0.407, 0.702], [0.088, 0.795, 0.954], [0.204, 0.915, 0.552], [0.298, 0.452, 0.087], [0.409, 0.041, 0.204], [0.463, 0.299, 0.592], [0.537, 0.701, 0.408], [0.591, 0.959, 0.796], [0.702, 0.548, 0.913], [0.796, 0.085, 0.448], [0.912, 0.205, 0.046], [0.963, 0.593, 0.298]],
  "space_group": "No. 2",
  "e_above_lowest_polymorph_ev_per_fu": 0.00,
  "density_g_cm3": 4.7
}


{
  "formula": "Li7Co5O12",
  "functional": "PBE with a Hubbard U",
  "state": "relaxed",
  "lattice_angstrom": [[8.189, 0.000, 0.000], [0.000, 2.890, 0.000], [-4.070, 0.000, 8.844]],
  "species": ["Li", "Li", "Li", "Li", "Li", "Li", "Li", "Co", "Co", "Co", "Co", "Co", "O", "O", "O", "O", "O", "O", "O", "O", "O", "O", "O", "O"],
  "fractional_positions": [[0.000, 0.000, 0.000], [0.000, 0.500, 0.500], [0.163, 0.000, 0.328], [0.321, 0.500, 0.164], [0.500, 0.000, 0.000], [0.679, 0.500, 0.836], [0.837, 0.000, 0.672], [0.159, 0.500, 0.837], [0.336, 0.000, 0.671], [0.500, 0.500, 0.500], [0.664, 0.000, 0.329], [0.841, 0.500, 0.163], [0.062, 0.500, 0.169], [0.098, 0.000, 0.688], [0.239, 0.000, 0.977], [0.261, 0.500, 0.510], [0.397, 0.500, 0.826], [0.425, 0.000, 0.338], [0.575, 0.000, 0.662], [0.603, 0.500, 0.174], [0.739, 0.500, 0.490], [0.761, 0.000, 0.023], [0.902, 0.000, 0.312], [0.938, 0.500, 0.831]],
  "space_group": "No. 10",
  "e_above_lowest_polymorph_ev_per_fu": 1.22,
  "density_g_cm3": 4.2
}


{
  "formula": "K2Ni2Mo3O12",
  "functional": "PBE with a Hubbard U",
  "state": "relaxed",
  "lattice_angstrom": [[7.059, 0.000, 0.000], [0.000, 9.103, 0.000], [-6.239, 0.000, 19.132]],
  "species": ["K", "K", "K", "K", "K", "K", "K", "K", "Ni", "Ni", "Ni", "Ni", "Ni", "Ni", "Ni", "Ni", "Mo", "Mo", "Mo", "Mo", "Mo", "Mo", "Mo", "Mo", "Mo", "Mo", "Mo", "Mo", "O", "O", "O", "O", "O", "O", "O", "O", "O", "O", "O", "O", "O", "O", "O", "O", "O", "O", "O", "O", "O", "O", "O", "O", "O", "O", "O", "O", "O", "O", "O", "O", "O", "O", "O", "O", "O", "O", "O", "O", "O", "O", "O", "O", "O", "O", "O", "O"],
  "fractional_positions": [[0.003, 0.011, 0.273], [0.003, 0.489, 0.773], [0.312, 0.544, 0.094], [0.312, 0.956, 0.594], [0.688, 0.044, 0.406], [0.688, 0.456, 0.906], [0.997, 0.511, 0.227], [0.997, 0.989, 0.727], [0.224, 0.152, 0.135], [0.224, 0.348, 0.635], [0.421, 0.574, 0.558], [0.421, 0.926, 0.058], [0.579, 0.074, 0.942], [0.579, 0.426, 0.442], [0.776, 0.652, 0.365], [0.776, 0.848, 0.865], [0.088, 0.163, 0.960], [0.088, 0.337, 0.460], [0.304, 0.731, 0.402], [0.304, 0.769, 0.902], [0.453, 0.658, 0.729], [0.453, 0.842, 0.229], [0.547, 0.158, 0.771], [0.547, 0.342, 0.271], [0.696, 0.231, 0.098], [0.696, 0.269, 0.598], [0.912, 0.663, 0.540], [0.912, 0.837, 0.040], [0.050, 0.202, 0.396], [0.050, 0.298, 0.896], [0.058, 0.665, 0.354], [0.058, 0.835, 0.854], [0.125, 0.236, 0.540], [0.125, 0.264, 0.040], [0.137, 0.543, 0.566], [0.137, 0.957, 0.066], [0.284, 0.707, 0.237], [0.284, 0.793, 0.737], [0.311, 0.056, 0.963], [0.311, 0.444, 0.463], [0.321, 0.162, 0.696], [0.321, 0.338, 0.196], [0.327, 0.018, 0.221], [0.327, 0.482, 0.721], [0.328, 0.590, 0.872], [0.328, 0.910, 0.372], [0.339, 0.748, 0.994], [0.339, 0.752, 0.494], [0.489, 0.194, 0.851], [0.489, 0.306, 0.351], [0.493, 0.120, 0.112], [0.493, 0.380, 0.612], [0.507, 0.620, 0.388], [0.507, 0.880, 0.888], [0.511, 0.694, 0.649], [0.511, 0.806, 0.149], [0.661, 0.248, 0.506], [0.661, 0.252, 0.006], [0.672, 0.090, 0.628], [0.672, 0.410, 0.128], [0.673, 0.518, 0.279], [0.673, 0.982, 0.779], [0.679, 0.662, 0.804], [0.679, 0.838, 0.304], [0.689, 0.556, 0.537], [0.689, 0.944, 0.037], [0.716, 0.207, 0.263], [0.716, 0.293, 0.763], [0.863, 0.043, 0.934], [0.863, 0.457, 0.434], [0.875, 0.736, 0.960], [0.875, 0.764, 0.460], [0.942, 0.165, 0.146], [0.942, 0.335, 0.646], [0.950, 0.702, 0.104], [0.950, 0.798, 0.604]],
  "space_group": "No. 14",
  "density_g_cm3": 3.6
}


So what do the calculations give for formation enthalpy at 0 K? Going down the list: -13543, -1253, -1977, -5591, -18945, -2514, -3964, -3561 kJ/mol of formula units.